1.
The following is a DFT calculation (r2SCAN) of a relaxed DyVO4 crystal.

Values from the calculation:
The formation energy from the elements comes out at -3.292 eV/atom. As for the magnetization: 0.00 μB per cell.

Cell: 5.9388 5.9388 5.9391 Å, 106.27 106.27 116.08°
Last column: nearest neighbours and their distance in Å.
Atoms (fractional coordinates):
Dy 0.8750 0.1250 0.7500  8 O 2.30-2.43
Dy 0.1250 0.8750 0.2500  8 O 2.30-2.43
V 0.6250 0.3750 0.2500  4 O 1.72
V 0.3750 0.6250 0.7500  4 O 1.72
O 0.7998 0.7346 0.4348  1 V 1.72
O 0.7998 0.3650 0.0652  1 V 1.72
O 0.2654 0.2002 0.0652  1 V 1.72
O 0.2002 0.6350 0.9348  1 V 1.72
O 0.2002 0.2654 0.5652  1 V 1.72
O 0.6350 0.2002 0.4348  1 V 1.72
O 0.7346 0.7998 0.9348  1 V 1.72
O 0.3650 0.7998 0.5652  1 V 1.72

---

2.
The following is a DFT calculation (r2SCAN) of a relaxed DyY3O6 crystal.

Values from the calculation:
The formation energy from the elements comes out at -3.910 eV/atom. As for the magnetization: 0.00 μB per cell.

Cell: 9.1831 9.1831 10.6020 Å, 54.74 54.74 70.54°
Last column: nearest neighbours and their distance in Å.
Atoms (fractional coordinates):
Dy 0.5325 0.4675 0.5000  6 O 2.25-2.33
Dy 0.2826 0.7825 0.7174  6 O 2.25-2.33
Dy 0.2175 0.7174 0.2826  6 O 2.25-2.33
Dy 0.0327 0.9673 0.5000  6 O 2.25-2.33
Y 0.9676 0.0324 0.0000  6 O 2.25-2.33
Y 0.0002 0.5001 0.7500  6 O 2.28
Y 0.7175 0.2175 0.7824  6 O 2.25-2.34
Y 0.7825 0.2825 0.2176  6 O 2.25-2.34
Y 0.2500 0.2500 0.0325  6 O 2.25-2.34
Y 0.2500 0.2500 0.5324  6 O 2.25-2.34
Y 0.4999 0.9998 0.2500  6 O 2.28
Y 0.0000 0.4999 0.2501  6 O 2.28
Y 0.4674 0.5326 0.0000  6 O 2.25-2.34
Y 0.5001 0.0000 0.7499  6 O 2.28
Y 0.7500 0.7500 0.4676  6 O 2.25-2.34
Y 0.7500 0.7500 0.9675  6 O 2.25-2.34
O 0.4577 0.2396 0.7810  3 Y 2.25-2.33, 1 Dy 2.26
O 0.0426 0.2608 0.9782  4 Y 2.25-2.34
O 0.0316 0.7282 0.7611  2 Dy 2.25-2.33, 2 Y 2.27-2.28
O 0.7282 0.0315 0.2610  4 Y 2.25-2.33
O 0.2280 0.5317 0.9792  1 Dy 2.25, 3 Y 2.27-2.34
O 0.5314 0.2283 0.4793  3 Y 2.25-2.28, 1 Dy 2.33
O 0.7392 0.9574 0.0218  4 Y 2.25-2.34
O 0.7604 0.5423 0.2190  3 Y 2.25-2.33, 1 Dy 2.26
O 0.9890 0.2292 0.2927  1 Dy 2.25, 3 Y 2.27-2.34
O 0.5109 0.2707 0.0109  4 Y 2.25-2.33
O 0.2294 0.9888 0.7923  3 Y 2.25-2.33, 1 Dy 2.26
O 0.2707 0.5113 0.5104  2 Dy 2.25-2.26, 2 Y 2.28-2.34
O 0.4887 0.7293 0.4896  2 Dy 2.25-2.26, 2 Y 2.28-2.34
O 0.0112 0.7706 0.2077  3 Y 2.25-2.33, 1 Dy 2.26
O 0.7708 0.0110 0.7073  1 Dy 2.25, 3 Y 2.27-2.34
O 0.7293 0.4891 0.9891  4 Y 2.25-2.33
O 0.2392 0.4575 0.2815  3 Y 2.25-2.28, 1 Dy 2.33
O 0.2604 0.0422 0.4783  2 Y 2.25-2.28, 2 Dy 2.26-2.33
O 0.7717 0.4686 0.5207  3 Y 2.25-2.28, 1 Dy 2.33
O 0.4683 0.7720 0.0208  1 Dy 2.25, 3 Y 2.27-2.34
O 0.2718 0.9684 0.2389  2 Dy 2.25-2.33, 2 Y 2.27-2.28
O 0.9685 0.2718 0.7390  4 Y 2.25-2.33
O 0.5425 0.7608 0.7185  3 Y 2.25-2.28, 1 Dy 2.33
O 0.9578 0.7396 0.5217  2 Y 2.25-2.28, 2 Dy 2.26-2.33

---

Q: Look up the magnetization of the second one.
A: 0.00 μB per cell

---

Q: What is the formula in the second record?
A: DyY3O6